Record 1
A relaxed structure of Sr2MoO4, computed with meta-GGA r2SCAN.

Cell lengths 3.894, 3.894, 7.044 Å; angles 106.04, 106.04, 90.00 degrees
Atoms (fractional coordinates):
Sr 0.351 0.351 0.702
Sr 0.649 0.649 0.298
Mo 0.000 0.000 0.000
O 0.000 0.500 0.000
O 0.500 0.000 0.000
O 0.837 0.837 0.674
O 0.163 0.163 0.326

## Properties
- Magnetization: 0.2 μB per cell
- Final energy: -99.32 eV per formula unit
- Symmetry: No. 139

=====

Record 2
A relaxed structure of ErGaRh, computed with meta-GGA r2SCAN.

Cell lengths 4.256, 6.716, 7.704 Å; angles 90.00, 90.00, 90.00 degrees
Atoms (fractional coordinates):
Er 0.250 0.972 0.314
Er 0.250 0.472 0.186
Er 0.750 0.028 0.686
Er 0.750 0.528 0.814
Ga 0.250 0.349 0.566
Ga 0.250 0.849 0.934
Ga 0.750 0.651 0.434
Ga 0.750 0.151 0.066
Rh 0.250 0.234 0.885
Rh 0.250 0.734 0.615
Rh 0.750 0.766 0.115
Rh 0.750 0.266 0.385

## Properties
- Magnetization: 0.0 μB per cell
- Final energy: -72.44 eV per formula unit
- Symmetry: No. 62

=====

Record 3
A relaxed structure of Na3CoO3, computed with meta-GGA r2SCAN.

Cell lengths 4.697, 9.511, 8.399 Å; angles 90.00, 90.00, 90.00 degrees
Atoms (fractional coordinates):
Na 0.250 0.605 0.000
Na 0.250 0.105 0.500
Na 0.750 0.395 0.000
Na 0.750 0.895 0.500
Na 0.250 0.380 0.271
Na 0.250 0.880 0.771
Na 0.750 0.620 0.271
Na 0.750 0.120 0.771
Na 0.250 0.380 0.729
Na 0.250 0.880 0.229
Na 0.750 0.620 0.729
Na 0.750 0.120 0.229
Co 0.250 0.680 0.500
Co 0.750 0.820 0.000
Co 0.250 0.180 0.000
Co 0.750 0.320 0.500
O 0.250 0.365 0.000
O 0.250 0.865 0.500
O 0.750 0.635 0.000
O 0.750 0.135 0.500
O 0.750 0.371 0.304
O 0.750 0.871 0.804
O 0.250 0.629 0.304
O 0.250 0.129 0.804
O 0.250 0.629 0.696
O 0.250 0.129 0.196
O 0.750 0.371 0.696
O 0.750 0.871 0.196

## Properties
- Relative energy among the computed polymorphs: 63 meV/atom
- Magnetization: 8.0 μB per cell

=====

Record 4
A relaxed structure of PICl8, computed with meta-GGA r2SCAN.

Cell lengths 12.019, 12.018, 12.019 Å; angles 118.56, 117.46, 93.48 degrees
Atoms (fractional coordinates):
P 0.246 0.746 0.000
P 0.254 0.254 0.500
P 0.746 0.746 0.500
P 0.754 0.254 0.000
I 0.750 0.690 0.940
I 0.750 0.179 0.429
I 0.250 0.821 0.571
I 0.250 0.310 0.060
Cl 0.226 0.404 0.484
Cl 0.750 0.975 0.225
Cl 0.394 0.714 0.979
Cl 0.106 0.085 0.320
Cl 0.403 0.973 0.570
Cl 0.765 0.085 0.979
Cl 0.097 0.667 0.570
Cl 0.250 0.025 0.775
Cl 0.579 0.758 0.484
Cl 0.097 0.156 0.059
Cl 0.235 0.915 0.021
Cl 0.549 0.693 0.742
Cl 0.250 0.614 0.364
Cl 0.774 0.596 0.516
Cl 0.597 0.538 0.941
Cl 0.951 0.693 0.144
Cl 0.726 0.242 0.821
Cl 0.903 0.333 0.430
Cl 0.903 0.844 0.941
Cl 0.265 0.286 0.680
Cl 0.049 0.307 0.856
Cl 0.421 0.242 0.516
Cl 0.735 0.714 0.320
Cl 0.079 0.596 0.821
Cl 0.750 0.386 0.636
Cl 0.274 0.758 0.179
Cl 0.403 0.462 0.059
Cl 0.606 0.286 0.021
Cl 0.921 0.404 0.179
Cl 0.894 0.915 0.680
Cl 0.597 0.027 0.430
Cl 0.451 0.307 0.258

## Properties
- Magnetization: 0.0 μB per cell
- Final energy: -87.93 eV per formula unit
- Symmetry: No. 74

=====

Record 5
A relaxed structure of YSiNi4, computed with meta-GGA r2SCAN.

Cell lengths 4.774, 4.774, 3.909 Å; angles 90.00, 90.00, 116.48 degrees
Atoms (fractional coordinates):
Y 0.000 0.000 0.000
Si 0.500 0.500 0.500
Ni 0.341 0.659 0.000
Ni 0.659 0.341 0.000
Ni 0.500 0.000 0.500
Ni 0.000 0.500 0.500

## Properties
- Magnetization: 0.0 μB per cell
- Final energy: -80.54 eV per formula unit
- Symmetry: No. 65

=====

Record 6
A relaxed structure of RbGe, computed with meta-GGA r2SCAN.

Cell lengths 11.110, 11.110, 11.967 Å; angles 117.66, 117.66, 90.00 degrees
Atoms (fractional coordinates):
Rb 0.250 0.393 0.000
Rb 0.250 0.893 0.000
Rb 0.107 0.750 0.500
Rb 0.893 0.250 0.500
Rb 0.750 0.607 0.000
Rb 0.750 0.107 0.000
Rb 0.607 0.750 0.500
Rb 0.393 0.250 0.500
Rb 0.754 0.246 0.750
Rb 0.496 0.746 0.750
Rb 0.004 0.996 0.250
Rb 0.746 0.496 0.250
Rb 0.246 0.754 0.250
Rb 0.504 0.254 0.250
Rb 0.996 0.004 0.750
Rb 0.254 0.504 0.750
Ge 0.274 0.485 0.350
Ge 0.576 0.985 0.350
Ge 0.365 0.076 0.850
Ge 0.985 0.576 0.850
Ge 0.726 0.515 0.650
Ge 0.424 0.015 0.650
Ge 0.635 0.924 0.150
Ge 0.015 0.424 0.150
Ge 0.774 0.865 0.350
Ge 0.076 0.365 0.350
Ge 0.865 0.774 0.850
Ge 0.485 0.274 0.850
Ge 0.226 0.135 0.650
Ge 0.924 0.635 0.650
Ge 0.135 0.226 0.150
Ge 0.515 0.726 0.150

## Properties
- Magnetization: 0.0 μB per cell
- Final energy: -28.33 eV per formula unit
- Symmetry: No. 142

=====

Record 7
A relaxed structure of Mo3Se4S2, computed with meta-GGA r2SCAN.

Cell lengths 3.273, 3.273, 28.891 Å; angles 90.00, 90.00, 120.00 degrees
Atoms (fractional coordinates):
Mo 0.000 0.000 0.770
Mo 0.000 0.000 0.230
Mo 0.333 0.667 0.000
Se 0.333 0.667 0.712
Se 0.333 0.667 0.173
Se 0.333 0.667 0.827
Se 0.333 0.667 0.288
S 0.000 0.000 0.053
S 0.000 0.000 0.947

## Properties
- Magnetization: 0.0 μB per cell
- Final energy: -158.77 eV per formula unit
- Symmetry: No. 187

=====

Record 8
A relaxed structure of Yb2RhAu, computed with meta-GGA r2SCAN.

Cell lengths 4.847, 4.847, 4.847 Å; angles 60.00, 60.00, 60.00 degrees
Atoms (fractional coordinates):
Yb 0.250 0.250 0.250
Yb 0.750 0.750 0.750
Rh 0.000 0.000 0.000
Au 0.500 0.500 0.500

## Properties
- Magnetization: 0.0 μB per cell
- Final energy: -151.70 eV per formula unit
- Symmetry: No. 225

=====

Record 9
A relaxed structure of Cu6Sn5, computed with meta-GGA r2SCAN.

Cell lengths 6.583, 6.583, 9.837 Å; angles 82.72, 82.72, 67.33 degrees
Atoms (fractional coordinates):
Cu 0.575 0.628 0.796
Cu 0.372 0.425 0.704
Cu 0.425 0.372 0.204
Cu 0.628 0.575 0.296
Cu 0.811 0.801 0.391
Cu 0.199 0.189 0.109
Cu 0.189 0.199 0.609
Cu 0.801 0.811 0.891
Cu 0.000 0.000 0.000
Cu 0.000 0.000 0.500
Cu 0.162 0.838 0.750
Cu 0.838 0.162 0.250
Sn 0.555 0.229 0.471
Sn 0.771 0.445 0.029
Sn 0.445 0.771 0.529
Sn 0.229 0.555 0.971
Sn 0.942 0.630 0.643
Sn 0.370 0.058 0.857
Sn 0.058 0.370 0.357
Sn 0.630 0.942 0.143
Sn 0.801 0.199 0.750
Sn 0.199 0.801 0.250

## Properties
- Magnetization: 0.0 μB per cell
- Final energy: -188.56 eV per formula unit
- Symmetry: No. 15

=====

Record 10
A relaxed structure of TaMo, computed with meta-GGA r2SCAN.

Cell lengths 2.831, 2.831, 4.460 Å; angles 90.00, 90.00, 110.71 degrees
Atoms (fractional coordinates):
Ta 0.500 0.500 0.500
Mo 0.000 0.000 0.000

## Properties
- Magnetization: 0.0 μB per cell
- Final energy: -74.87 eV per formula unit
- Symmetry: No. 65

=====

Record 11
A relaxed structure of Sm3ReO8, computed with meta-GGA r2SCAN.

Cell lengths 6.112, 7.348, 14.702 Å; angles 69.17, 90.00, 90.00 degrees
Atoms (fractional coordinates):
Sm 0.187 0.895 0.666
Sm 0.687 0.105 0.834
Sm 0.813 0.105 0.334
Sm 0.313 0.895 0.166
Sm 0.799 0.662 0.054
Sm 0.299 0.338 0.446
Sm 0.201 0.338 0.946
Sm 0.701 0.662 0.554
Sm 0.761 0.596 0.299
Sm 0.261 0.404 0.201
Sm 0.239 0.404 0.701
Sm 0.739 0.596 0.799
Re 0.745 0.179 0.591
Re 0.245 0.821 0.909
Re 0.255 0.821 0.409
Re 0.755 0.179 0.091
O 0.698 0.025 0.021
O 0.198 0.975 0.479
O 0.302 0.975 0.979
O 0.802 0.025 0.521
O 0.457 0.249 0.096
O 0.957 0.751 0.404
O 0.543 0.751 0.904
O 0.043 0.249 0.596
O 0.849 0.331 0.169
O 0.349 0.669 0.331
O 0.151 0.669 0.831
O 0.651 0.331 0.669
O 0.049 0.122 0.089
O 0.549 0.878 0.411
O 0.951 0.878 0.911
O 0.451 0.122 0.589
O 0.971 0.314 0.827
O 0.471 0.686 0.673
O 0.029 0.686 0.173
O 0.529 0.314 0.327
O 0.971 0.646 0.659
O 0.471 0.354 0.841
O 0.029 0.354 0.341
O 0.529 0.646 0.159
O 0.698 0.410 0.482
O 0.198 0.590 0.018
O 0.302 0.590 0.518
O 0.802 0.410 0.982
O 0.796 0.970 0.711
O 0.296 0.030 0.789
O 0.204 0.030 0.289
O 0.704 0.970 0.211

## Properties
- Magnetization: 0.0 μB per cell
- Final energy: -226.31 eV per formula unit
- Symmetry: No. 14

=====

Record 12
A relaxed structure of Er2PdRh, computed with meta-GGA r2SCAN.

Cell lengths 4.823, 4.823, 4.823 Å; angles 60.00, 60.00, 60.00 degrees
Atoms (fractional coordinates):
Er 0.000 0.000 0.000
Er 0.500 0.500 0.500
Pd 0.250 0.250 0.250
Rh 0.750 0.750 0.750

## Properties
- Magnetization: 0.0 μB per cell
- Final energy: -118.84 eV per formula unit
- Symmetry: No. 225